Record 1
# Ho5P12Ru19 (PBE, optimized geometry)
# energy of formation from the pure elements = -31.046 eV per formula unit
data_Ho5P12Ru19
_cell_length_a 12.5127
_cell_length_b 12.5127
_cell_length_c 3.9670
_cell_angle_alpha 90.00
_cell_angle_beta 90.00
_cell_angle_gamma 120.00
_symmetry_space_group_name_H-M 'P -6 2 m'
_symmetry_Int_Tables_number 189
_symmetry_space_group_name_Hall 'P -6 -2'
loop_
_atom_site_label
_atom_site_type_symbol
_atom_site_fract_x
_atom_site_fract_y
_atom_site_fract_z
_atom_site_occupancy
Ho1 Ho 0.0000 0.1846 0.0000 1
Ho2 Ho 0.3333 0.6667 0.5000 1
P1 P 0.0000 0.3724 0.5000 1
P2 P 0.0000 0.8162 0.5000 1
P3 P 0.1704 0.6924 0.0000 1
Ru1 Ru 0.0000 0.0000 0.5000 1
Ru2 Ru 0.0000 0.5545 0.5000 1
Ru3 Ru 0.0000 0.7173 0.0000 1
Ru4 Ru 0.1263 0.4913 0.0000 1
Ru5 Ru 0.1844 0.8075 0.5000 1

=====

Record 2
# LuPPt (PBE, optimized geometry)
# energy of formation from the pure elements = -3.898 eV per formula unit
data_LuPPt
_cell_length_a 4.1055
_cell_length_b 4.1055
_cell_length_c 3.7799
_cell_angle_alpha 90.00
_cell_angle_beta 90.00
_cell_angle_gamma 120.00
_symmetry_space_group_name_H-M 'P -6 m 2'
_symmetry_Int_Tables_number 187
_symmetry_space_group_name_Hall 'P -6 2'
loop_
_atom_site_label
_atom_site_type_symbol
_atom_site_fract_x
_atom_site_fract_y
_atom_site_fract_z
_atom_site_occupancy
Lu1 Lu 0.0000 0.0000 0.0000 1
P1 P 0.6667 0.3333 0.5000 1
Pt1 Pt 0.3333 0.6667 0.5000 1

=====

Record 3
# UCu2Si2 (PBE, optimized geometry)
# energy of formation from the pure elements = -1.173 eV per formula unit
data_UCu2Si2
_cell_length_a 3.940
_cell_length_b 3.940
_cell_length_c 10.097
_cell_angle_alpha 90.00
_cell_angle_beta 90.00
_cell_angle_gamma 90.00
_symmetry_space_group_name_H-M 'I 4/m m m'
_symmetry_Int_Tables_number 139
_symmetry_space_group_name_Hall '-I 4 2'
loop_
_atom_site_label
_atom_site_type_symbol
_atom_site_fract_x
_atom_site_fract_y
_atom_site_fract_z
_atom_site_occupancy
U1 U 0.000 0.000 0.000 1
Cu1 Cu 0.000 0.500 0.250 1
Si1 Si 0.000 0.000 0.383 1